Record 1
# Na7CaGa3P6O24 (PBE, relaxed)
# **Total energy**: -6.402 eV/atom
data_Na7CaGa3P6O24
_space_group_name_H-M_alt 'P 1'
_space_group_IT_number 1
_cell_length_a 8.939
_cell_length_b 8.960
_cell_length_c 22.040
_cell_angle_alpha 90.01
_cell_angle_beta 90.02
_cell_angle_gamma 119.91
loop_
_space_group_symop_operation_xyz
'x,y,z'
loop_
_atom_site_label
_atom_site_type_symbol
_atom_site_fract_x
_atom_site_fract_y
_atom_site_fract_z
Na1 Na 0.000 0.000 0.000
Na2 Na 0.000 0.355 0.746
Na3 Na 0.034 0.061 0.328
Na4 Na 0.042 0.705 0.831
Na5 Na 0.299 0.328 0.830
Na6 Na 0.307 0.706 0.328
Na7 Na 0.333 0.673 0.665
Na8 Na 0.335 0.034 0.412
Na9 Na 0.335 0.394 0.165
Na10 Na 0.345 0.046 0.918
Na11 Na 0.367 0.736 0.001
Na12 Na 0.374 0.373 0.497
Na13 Na 0.633 0.995 0.497
Na14 Na 0.662 0.335 0.328
Na15 Na 0.663 0.070 0.831
Na16 Na 0.668 0.700 0.082
Na17 Na 0.677 0.712 0.584
Na18 Na 0.695 0.395 0.665
Na19 Na 0.975 0.673 0.165
Na20 Na 0.989 0.355 0.244
Na21 Na 0.997 0.737 0.497
Ca1 Ca 0.332 0.035 0.763
Ca2 Ca 0.338 0.036 0.256
Ca3 Ca 0.668 0.701 0.434
Ga1 Ga 0.001 0.363 0.599
Ga2 Ga 0.001 0.367 0.398
Ga3 Ga 0.332 0.034 0.568
Ga4 Ga 0.344 0.042 0.066
Ga5 Ga 0.667 0.695 0.935
Ga6 Ga 0.669 0.709 0.230
Ga7 Ga 0.675 0.708 0.730
Ga8 Ga 0.995 0.364 0.095
Ga9 Ga 0.998 0.366 0.901
P1 P 0.000 0.660 0.998
P2 P 0.013 0.087 0.500
P3 P 0.028 0.036 0.161
P4 P 0.030 0.730 0.663
P5 P 0.282 0.660 0.501
P6 P 0.294 0.367 0.998
P7 P 0.333 0.338 0.663
P8 P 0.333 0.728 0.161
P9 P 0.364 0.406 0.332
P10 P 0.378 0.692 0.834
P11 P 0.640 0.035 0.663
P12 P 0.642 0.340 0.163
P13 P 0.676 0.004 0.333
P14 P 0.677 0.420 0.834
P15 P 0.707 0.077 0.997
P16 P 0.709 0.356 0.501
P17 P 0.948 0.991 0.836
P18 P 0.963 0.693 0.332
O1 O 0.007 0.546 0.654
O2 O 0.014 0.199 0.150
O3 O 0.035 0.579 0.940
O4 O 0.041 0.192 0.441
O5 O 0.120 0.848 0.607
O6 O 0.121 0.000 0.107
O7 O 0.129 0.012 0.833
O8 O 0.132 0.078 0.220
O9 O 0.137 0.795 0.721
O10 O 0.146 0.849 0.326
O11 O 0.166 0.843 0.003
O12 O 0.172 0.545 0.151
O13 O 0.174 0.579 0.442
O14 O 0.178 0.331 0.940
O15 O 0.178 0.369 0.654
O16 O 0.180 0.071 0.506
O17 O 0.184 0.398 0.335
O18 O 0.194 0.548 0.557
O19 O 0.195 0.525 0.839
O20 O 0.210 0.402 0.053
O21 O 0.290 0.789 0.219
O22 O 0.298 0.843 0.505
O23 O 0.301 0.241 0.722
O24 O 0.307 0.200 0.005
O25 O 0.337 0.223 0.326
O26 O 0.356 0.852 0.832
O27 O 0.361 0.849 0.106
O28 O 0.368 0.248 0.608
O29 O 0.455 0.524 0.275
O30 O 0.459 0.665 0.775
O31 O 0.464 0.682 0.501
O32 O 0.466 0.477 0.390
O33 O 0.474 0.534 0.992
O34 O 0.492 0.720 0.891
O35 O 0.497 0.708 0.167
O36 O 0.502 0.520 0.667
O37 O 0.508 0.244 0.111
O38 O 0.514 0.999 0.608
O39 O 0.518 0.239 0.832
O40 O 0.520 0.030 0.326
O41 O 0.522 0.051 0.005
O42 O 0.526 0.190 0.506
O43 O 0.574 0.075 0.721
O44 O 0.584 0.248 0.223
O45 O 0.644 0.905 0.392
O46 O 0.646 0.864 0.669
O47 O 0.648 0.509 0.888
O48 O 0.654 0.521 0.166
O49 O 0.686 0.516 0.500
O50 O 0.687 0.892 0.993
O51 O 0.706 0.526 0.774
O52 O 0.706 0.910 0.278
O53 O 0.783 0.183 0.938
O54 O 0.790 0.329 0.442
O55 O 0.819 0.197 0.654
O56 O 0.823 0.383 0.557
O57 O 0.825 0.367 0.151
O58 O 0.831 0.163 0.050
O59 O 0.835 0.907 0.778
O60 O 0.841 0.687 0.992
O61 O 0.845 0.405 0.839
O62 O 0.845 0.666 0.275
O63 O 0.846 0.710 0.668
O64 O 0.847 0.184 0.336
O65 O 0.852 0.865 0.167
O66 O 0.854 0.905 0.500
O67 O 0.865 0.880 0.893
O68 O 0.892 0.724 0.390
O69 O 0.965 0.175 0.839
O70 O 0.971 0.522 0.335
O71 O 0.975 0.550 0.054
O72 O 0.984 0.177 0.554

Record 2
# Dy2Fe3Ni (PBE, relaxed)
# **Total energy**: -6.762 eV/atom
data_Dy2Fe3Ni
_space_group_name_H-M_alt 'P 1'
_space_group_IT_number 1
_cell_length_a 5.206
_cell_length_b 5.206
_cell_length_c 5.206
_cell_angle_alpha 58.34
_cell_angle_beta 58.34
_cell_angle_gamma 58.34
loop_
_space_group_symop_operation_xyz
'x,y,z'
loop_
_atom_site_label
_atom_site_type_symbol
_atom_site_fract_x
_atom_site_fract_y
_atom_site_fract_z
Dy1 Dy 0.125 0.125 0.125
Dy2 Dy 0.875 0.875 0.875
Fe1 Fe 0.000 0.500 0.500
Fe2 Fe 0.500 0.000 0.500
Fe3 Fe 0.500 0.500 0.000
Ni1 Ni 0.500 0.500 0.500

Record 3
# CeEuCd2 (PBE, relaxed)
# **Total energy**: -4.733 eV/atom
data_CeEuCd2
_space_group_name_H-M_alt 'P 1'
_space_group_IT_number 1
_cell_length_a 5.487
_cell_length_b 5.487
_cell_length_c 5.487
_cell_angle_alpha 60.00
_cell_angle_beta 60.00
_cell_angle_gamma 60.00
loop_
_space_group_symop_operation_xyz
'x,y,z'
loop_
_atom_site_label
_atom_site_type_symbol
_atom_site_fract_x
_atom_site_fract_y
_atom_site_fract_z
Ce1 Ce 0.000 0.000 0.000
Eu1 Eu 0.500 0.500 0.500
Cd1 Cd 0.250 0.250 0.250
Cd2 Cd 0.750 0.750 0.750

Record 4
# H (PBE, relaxed)
# **Energy above the most stable polymorph in this dataset**: 3.7 meV/atom
data_H
_space_group_name_H-M_alt 'P 1'
_space_group_IT_number 1
_cell_length_a 6.039
_cell_length_b 9.854
_cell_length_c 4.373
_cell_angle_alpha 90.00
_cell_angle_beta 90.00
_cell_angle_gamma 90.00
loop_
_space_group_symop_operation_xyz
'x,y,z'
loop_
_atom_site_label
_atom_site_type_symbol
_atom_site_fract_x
_atom_site_fract_y
_atom_site_fract_z
H1 H 0.035 0.250 0.243
H2 H 0.055 0.505 0.538
H3 H 0.055 0.995 0.538
H4 H 0.103 0.250 0.099
H5 H 0.397 0.750 0.599
H6 H 0.445 0.005 0.038
H7 H 0.445 0.495 0.038
H8 H 0.465 0.750 0.743
H9 H 0.535 0.250 0.257
H10 H 0.555 0.505 0.962
H11 H 0.555 0.995 0.962
H12 H 0.603 0.250 0.401
H13 H 0.897 0.750 0.901
H14 H 0.945 0.005 0.462
H15 H 0.945 0.495 0.462
H16 H 0.965 0.750 0.757

Record 5
# Ba2CeBiO6 (PBE, relaxed)
# **Total energy**: -6.787 eV/atom
data_Ba2CeBiO6
_space_group_name_H-M_alt 'P 1'
_space_group_IT_number 1
_cell_length_a 6.296
_cell_length_b 6.296
_cell_length_c 6.296
_cell_angle_alpha 60.00
_cell_angle_beta 60.00
_cell_angle_gamma 60.00
loop_
_space_group_symop_operation_xyz
'x,y,z'
loop_
_atom_site_label
_atom_site_type_symbol
_atom_site_fract_x
_atom_site_fract_y
_atom_site_fract_z
Ba1 Ba 0.250 0.250 0.250
Ba2 Ba 0.750 0.750 0.750
Ce1 Ce 0.000 0.000 0.000
Bi1 Bi 0.500 0.500 0.500
O1 O 0.249 0.249 0.751
O2 O 0.249 0.751 0.249
O3 O 0.249 0.751 0.751
O4 O 0.751 0.249 0.249
O5 O 0.751 0.249 0.751
O6 O 0.751 0.751 0.249

Record 6
# La2MnSb4 (PBE, relaxed)
# **Total energy**: -5.784 eV/atom
data_La2MnSb4
_space_group_name_H-M_alt 'P 1'
_space_group_IT_number 1
_cell_length_a 4.478
_cell_length_b 4.478
_cell_length_c 10.234
_cell_angle_alpha 90.00
_cell_angle_beta 90.00
_cell_angle_gamma 90.00
loop_
_space_group_symop_operation_xyz
'x,y,z'
loop_
_atom_site_label
_atom_site_type_symbol
_atom_site_fract_x
_atom_site_fract_y
_atom_site_fract_z
La1 La 0.000 0.500 0.249
La2 La 0.500 0.000 0.751
Mn1 Mn 0.000 0.000 0.500
Sb1 Sb 0.000 0.000 0.000
Sb2 Sb 0.000 0.500 0.641
Sb3 Sb 0.500 0.000 0.359
Sb4 Sb 0.500 0.500 0.000

Record 7
# Rb3Fe2Se4 (PBE, relaxed)
# **Total energy**: -4.506 eV/atom
data_Rb3Fe2Se4
_space_group_name_H-M_alt 'P 1'
_space_group_IT_number 1
_cell_length_a 7.831
_cell_length_b 11.384
_cell_length_c 12.668
_cell_angle_alpha 90.00
_cell_angle_beta 90.00
_cell_angle_gamma 90.00
loop_
_space_group_symop_operation_xyz
'x,y,z'
loop_
_atom_site_label
_atom_site_type_symbol
_atom_site_fract_x
_atom_site_fract_y
_atom_site_fract_z
Rb1 Rb 0.071 0.070 0.136
Rb2 Rb 0.071 0.430 0.136
Rb3 Rb 0.086 0.250 0.767
Rb4 Rb 0.414 0.750 0.267
Rb5 Rb 0.429 0.570 0.636
Rb6 Rb 0.429 0.930 0.636
Rb7 Rb 0.571 0.070 0.364
Rb8 Rb 0.571 0.430 0.364
Rb9 Rb 0.586 0.250 0.733
Rb10 Rb 0.914 0.750 0.233
Rb11 Rb 0.929 0.570 0.864
Rb12 Rb 0.929 0.930 0.864
Fe1 Fe 0.050 0.133 0.471
Fe2 Fe 0.050 0.367 0.471
Fe3 Fe 0.450 0.633 0.971
Fe4 Fe 0.450 0.867 0.971
Fe5 Fe 0.550 0.133 0.029
Fe6 Fe 0.550 0.367 0.029
Fe7 Fe 0.950 0.633 0.529
Fe8 Fe 0.950 0.867 0.529
Se1 Se 0.086 0.750 0.662
Se2 Se 0.147 0.554 0.394
Se3 Se 0.147 0.946 0.394
Se4 Se 0.208 0.750 0.032
Se5 Se 0.292 0.250 0.532
Se6 Se 0.353 0.054 0.894
Se7 Se 0.353 0.446 0.894
Se8 Se 0.414 0.250 0.162
Se9 Se 0.586 0.750 0.838
Se10 Se 0.647 0.554 0.106
Se11 Se 0.647 0.946 0.106
Se12 Se 0.708 0.750 0.468
Se13 Se 0.792 0.250 0.968
Se14 Se 0.853 0.054 0.606
Se15 Se 0.853 0.446 0.606
Se16 Se 0.914 0.250 0.338

Record 8
# Al2O3 (PBE, relaxed)
# **Total energy**: -7.210 eV/atom
data_Al2O3
_space_group_name_H-M_alt 'P 1'
_space_group_IT_number 1
_cell_length_a 10.315
_cell_length_b 10.409
_cell_length_c 10.483
_cell_angle_alpha 91.07
_cell_angle_beta 93.36
_cell_angle_gamma 90.97
loop_
_space_group_symop_operation_xyz
'x,y,z'
loop_
_atom_site_label
_atom_site_type_symbol
_atom_site_fract_x
_atom_site_fract_y
_atom_site_fract_z
Al1 Al 0.000 0.000 0.000
Al2 Al 0.001 0.757 0.147
Al3 Al 0.043 0.592 0.715
Al4 Al 0.053 0.457 0.230
Al5 Al 0.102 0.144 0.722
Al6 Al 0.110 0.751 0.413
Al7 Al 0.111 0.495 0.985
Al8 Al 0.148 0.219 0.023
Al9 Al 0.152 0.187 0.472
Al10 Al 0.191 0.764 0.891
Al11 Al 0.284 0.036 0.137
Al12 Al 0.298 0.953 0.570
Al13 Al 0.301 0.625 0.523
Al14 Al 0.320 0.563 0.271
Al15 Al 0.337 0.567 0.778
Al16 Al 0.358 0.288 0.270
Al17 Al 0.370 0.289 0.952
Al18 Al 0.375 0.343 0.641
Al19 Al 0.404 0.027 0.881
Al20 Al 0.472 0.848 0.141
Al21 Al 0.498 0.018 0.353
Al22 Al 0.514 0.758 0.857
Al23 Al 0.528 0.548 0.143
Al24 Al 0.541 0.998 0.681
Al25 Al 0.574 0.707 0.368
Al26 Al 0.577 0.438 0.888
Al27 Al 0.619 0.269 0.460
Al28 Al 0.653 0.183 0.075
Al29 Al 0.716 0.762 0.646
Al30 Al 0.737 0.910 0.049
Al31 Al 0.774 0.615 0.139
Al32 Al 0.782 0.105 0.808
Al33 Al 0.825 0.499 0.773
Al34 Al 0.829 0.041 0.553
Al35 Al 0.845 0.790 0.427
Al36 Al 0.852 0.271 0.356
Al37 Al 0.860 0.327 0.070
Al38 Al 0.873 0.514 0.466
Al39 Al 0.897 0.777 0.868
Al40 Al 0.982 0.007 0.282
O1 O 0.006 0.165 0.364
O2 O 0.031 0.326 0.088
O3 O 0.041 0.752 0.783
O4 O 0.056 0.123 0.894
O5 O 0.079 0.840 0.003
O6 O 0.084 0.858 0.281
O7 O 0.090 0.600 0.128
O8 O 0.116 0.072 0.124
O9 O 0.151 0.044 0.576
O10 O 0.189 0.608 0.375
O11 O 0.194 0.585 0.656
O12 O 0.197 0.274 0.628
O13 O 0.219 0.366 0.968
O14 O 0.219 0.597 0.906
O15 O 0.221 0.411 0.253
O16 O 0.241 0.798 0.524
O17 O 0.280 0.187 0.376
O18 O 0.290 0.150 0.883
O19 O 0.325 0.203 0.116
O20 O 0.343 0.769 0.819
O21 O 0.356 0.936 0.016
O22 O 0.369 0.951 0.251
O23 O 0.371 0.989 0.719
O24 O 0.396 0.512 0.613
O25 O 0.404 0.673 0.151
O26 O 0.406 0.380 0.812
O27 O 0.425 0.642 0.405
O28 O 0.447 0.436 0.231
O29 O 0.462 0.982 0.512
O30 O 0.503 0.270 0.574
O31 O 0.504 0.591 0.844
O32 O 0.523 0.190 0.322
O33 O 0.540 0.296 0.002
O34 O 0.570 0.053 0.854
O35 O 0.579 0.824 0.715
O36 O 0.580 0.864 0.302
O37 O 0.589 0.805 0.011
O38 O 0.627 0.024 0.112
O39 O 0.646 0.619 0.248
O40 O 0.647 0.522 0.032
O41 O 0.695 0.067 0.660
O42 O 0.704 0.394 0.797
O43 O 0.704 0.692 0.487
O44 O 0.739 0.399 0.431
O45 O 0.758 0.164 0.451
O46 O 0.777 0.250 0.193
O47 O 0.786 0.670 0.774
O48 O 0.790 0.203 0.958
O49 O 0.832 0.870 0.601
O50 O 0.840 0.946 0.893
O51 O 0.847 0.737 0.027
O52 O 0.870 0.722 0.258
O53 O 0.876 0.482 0.139
O54 O 0.879 0.954 0.400
O55 O 0.893 0.971 0.131
O56 O 0.912 0.500 0.632
O57 O 0.928 0.128 0.684
O58 O 0.968 0.679 0.479
O59 O 0.970 0.413 0.370
O60 O 0.981 0.507 0.862